[1]
This record from the Materials Project describes a relaxed KPF6 crystal. The functional is PBE.

Summary:
energy = -159.77 eV/cell
energy with MP2020 corrections = -5.34 eV per atom
energy of formation from the pure elements = -3088 meV/atom

Geometry as CIF:
```
data_KPF6
_cell_length_a 7.822
_cell_length_b 7.822
_cell_length_c 7.822
_cell_angle_alpha 90.00
_cell_angle_beta 90.00
_cell_angle_gamma 90.00
_space_group_name_H-M_alt 'P a -3'
_space_group_IT_number 205
_space_group_name_Hall '-P 2ac 2ab 3'
loop_
_atom_site_label
_atom_site_fract_x
_atom_site_fract_y
_atom_site_fract_z
K1 0.000 0.000 0.000
P1 0.000 0.000 0.500
F1 0.068 0.121 0.657
```

[2]
This record from the Materials Project describes a relaxed K3PdF6 crystal. The functional is PBE.

Summary:
energy = -166.95 eV/cell
energy with MP2020 corrections = -4.45 eV per atom
energy of formation from the pure elements = -2451 meV/atom

Geometry as CIF:
```
data_K3PdF6
_cell_length_a 9.070
_cell_length_b 9.070
_cell_length_c 9.070
_cell_angle_alpha 90.00
_cell_angle_beta 90.00
_cell_angle_gamma 90.00
_space_group_name_H-M_alt 'F m -3 m'
_space_group_IT_number 225
_space_group_name_Hall '-F 4 2 3'
loop_
_atom_site_label
_atom_site_fract_x
_atom_site_fract_y
_atom_site_fract_z
K1 0.000 0.000 0.000
K2 0.250 0.250 0.250
Pd1 0.000 0.000 0.500
F1 0.000 0.000 0.274
```

[3]
This record from the Materials Project describes a relaxed K2PdF6 crystal. The functional is PBE.

Summary:
energy = -37.59 eV/cell
energy with MP2020 corrections = -4.48 eV per atom
energy of formation from the pure elements = -2386 meV/atom

Geometry as CIF:
```
data_K2PdF6
_cell_length_a 5.9124
_cell_length_b 5.9124
_cell_length_c 4.8559
_cell_angle_alpha 90.00
_cell_angle_beta 90.00
_cell_angle_gamma 120.00
_space_group_name_H-M_alt 'P -3 m 1'
_space_group_IT_number 164
_space_group_name_Hall '-P 3 2"'
loop_
_atom_site_label
_atom_site_fract_x
_atom_site_fract_y
_atom_site_fract_z
K1 0.3333 0.6667 0.2191
Pd1 0.0000 0.0000 0.5000
F1 0.1601 0.3202 0.7202
```

[4]
This record from the Materials Project describes a relaxed KRb2PdF6 crystal. The functional is PBE.

Summary:
energy = -83.74 eV/cell
energy with MP2020 corrections = -4.46 eV per atom
energy of formation from the pure elements = -2490 meV/atom

Geometry as CIF:
```
data_KRb2PdF6
_cell_length_a 6.383
_cell_length_b 6.383
_cell_length_c 9.464
_cell_angle_alpha 90.00
_cell_angle_beta 90.00
_cell_angle_gamma 90.00
_space_group_name_H-M_alt 'I 4/m m m'
_space_group_IT_number 139
_space_group_name_Hall '-I 4 2'
loop_
_atom_site_label
_atom_site_fract_x
_atom_site_fract_y
_atom_site_fract_z
K1 0.000 0.000 0.000
Rb1 0.000 0.500 0.250
Pd1 0.000 0.000 0.500
F1 0.000 0.000 0.267
F2 0.221 0.221 0.500
```

- Which formula does entry 1 have?
  KPF6

- Look up the energy of the second one.
  -166.95 eV/cell

- What is the formula in the first record?
  KPF6